--- w ---
Below is an optimized crystal structure of Mg16ScAl12, with properties calculated at the PBE level.

Cell: 9.101 9.101 9.101 Å, 109.47 109.47 109.47°
Fractional positions:
Mg: 0.682 0.285 0.682
Mg: 0.000 0.350 0.000
Al: 0.366 0.181 0.366
Al: 0.819 0.185 0.185
Al: 0.185 0.185 0.819
Mg: 0.650 0.650 0.650
Al: 0.815 0.000 0.634
Mg: 0.603 0.318 0.000
Mg: 0.397 0.715 0.397
Al: 0.634 0.000 0.815
Mg: 0.397 0.397 0.715
Al: 0.185 0.819 0.185
Al: 0.634 0.815 0.000
Al: 0.181 0.366 0.366
Mg: 0.603 0.000 0.318
Mg: 0.350 0.000 0.000
Mg: 0.285 0.682 0.682
Mg: 0.000 0.318 0.603
Al: 0.815 0.634 0.000
Al: 0.000 0.815 0.634
Al: 0.000 0.634 0.815
Mg: 0.000 0.603 0.318
Mg: 0.000 0.000 0.350
Al: 0.366 0.366 0.181
Mg: 0.318 0.603 0.000
Sc: 0.000 0.000 0.000
Mg: 0.715 0.397 0.397
Mg: 0.318 0.000 0.603
Mg: 0.682 0.682 0.285

--- x ---
Below is an optimized crystal structure of Mg16ScAl12, with properties calculated at the PBE level.

Cell: 9.160 9.160 9.018 Å, 70.75 70.75 109.59°
Fractional positions:
Mg: 0.338 0.997 0.007
Al: 0.179 0.364 0.634
Mg: 0.715 0.399 0.603
Mg: 0.399 0.715 0.603
Al: 0.634 0.000 0.182
Mg: 0.598 0.002 0.685
Al: 0.364 0.179 0.634
Mg: 0.006 0.006 0.649
Al: 0.000 0.634 0.182
Al: 0.185 0.185 0.180
Al: 0.372 0.372 0.815
Mg: 0.401 0.401 0.280
Al: 0.813 0.634 0.998
Mg: 0.289 0.684 0.316
Al: 0.184 0.822 0.812
Al: 0.634 0.813 0.998
Mg: 0.604 0.314 0.998
Mg: 0.997 0.338 0.007
Al: 0.812 0.996 0.371
Mg: 0.001 0.001 0.002
Sc: 0.685 0.685 0.722
Mg: 0.314 0.604 0.998
Mg: 0.002 0.598 0.685
Al: 0.822 0.184 0.812
Mg: 0.000 0.318 0.395
Mg: 0.684 0.289 0.316
Mg: 0.655 0.655 0.351
Al: 0.996 0.812 0.371
Mg: 0.318 0.000 0.395

In terms of stability, w leads; the second structure lies 13 meV/atom higher.

--- w ---
Below is an optimized crystal structure of Mg2Al3Si6, with properties calculated at the PBE level.

Cell: 3.634 6.722 8.142 Å, 90.99 102.90 90.00°
Fractional positions:
Si: 0.306 0.344 0.612
Mg: 0.830 0.014 0.659
Si: 0.546 0.742 0.092
Mg: 0.170 0.986 0.341
Si: 0.454 0.258 0.908
Si: 0.694 0.656 0.388
Si: 0.701 0.296 0.401
Al: 0.000 0.000 0.000
Al: 0.928 0.614 0.857
Si: 0.299 0.704 0.599
Al: 0.072 0.386 0.143

--- x ---
Below is an optimized crystal structure of Mg2Al3Si6, with properties calculated at the PBE level.

Cell: 7.707 7.707 6.529 Å, 76.68 76.68 28.90°
Fractional positions:
Si: 0.664 0.664 0.746
Si: 0.295 0.295 0.648
Si: 0.534 0.534 0.287
Al: 0.089 0.089 0.553
Si: 0.466 0.466 0.713
Mg: 0.173 0.173 0.073
Si: 0.336 0.336 0.254
Al: 0.911 0.911 0.447
Si: 0.705 0.705 0.352
Mg: 0.827 0.827 0.927
Al: 0.000 0.000 0.000

In terms of stability, w leads; the second structure lies 27 meV/atom higher.

--- w ---
Below is an optimized crystal structure of SmMg16Al12, with properties calculated at the PBE level.

Cell: 8.867 9.293 9.293 Å, 110.38 108.54 108.54°
Fractional positions:
Mg: 0.613 0.331 0.000
Al: 0.001 0.817 0.638
Mg: 0.689 0.294 0.687
Al: 0.173 0.363 0.363
Al: 0.810 0.637 0.000
Mg: 0.282 0.669 0.669
Al: 0.001 0.638 0.817
Al: 0.184 0.821 0.183
Al: 0.363 0.362 0.179
Mg: 0.613 0.000 0.331
Mg: 0.315 0.000 0.600
Mg: 0.394 0.706 0.393
Al: 0.811 0.181 0.181
Al: 0.630 0.000 0.819
Al: 0.810 0.000 0.637
Mg: 0.995 0.000 0.340
Mg: 0.689 0.687 0.294
Mg: 0.995 0.340 0.000
Al: 0.630 0.819 0.000
Mg: 0.002 0.607 0.313
Sm: 0.376 0.000 0.000
Al: 0.184 0.183 0.821
Mg: 0.394 0.393 0.706
Mg: 0.715 0.400 0.400
Mg: 0.002 0.313 0.607
Mg: 0.655 0.660 0.660
Al: 0.363 0.179 0.362
Mg: 0.996 0.000 0.000
Mg: 0.315 0.600 0.000

--- x ---
Below is an optimized crystal structure of SmMg16Al12, with properties calculated at the PBE level.

Cell: 9.141 9.141 9.141 Å, 109.47 109.47 109.47°
Fractional positions:
Mg: 0.319 0.319 0.717
Al: 0.182 0.813 0.813
Al: 0.818 0.630 0.630
Al: 0.370 0.187 0.000
Mg: 0.397 0.681 0.000
Mg: 0.000 0.397 0.681
Mg: 0.681 0.397 0.000
Sm: 0.000 0.000 0.000
Mg: 0.360 0.360 0.360
Al: 0.000 0.370 0.187
Al: 0.187 0.000 0.370
Mg: 0.000 0.640 0.000
Al: 0.370 0.000 0.187
Mg: 0.319 0.717 0.319
Mg: 0.000 0.000 0.640
Al: 0.000 0.187 0.370
Al: 0.630 0.818 0.630
Mg: 0.283 0.603 0.603
Mg: 0.717 0.319 0.319
Mg: 0.000 0.681 0.397
Mg: 0.640 0.000 0.000
Mg: 0.603 0.283 0.603
Mg: 0.681 0.000 0.397
Mg: 0.603 0.603 0.283
Al: 0.630 0.630 0.818
Al: 0.813 0.813 0.182
Al: 0.813 0.182 0.813
Mg: 0.397 0.000 0.681
Al: 0.187 0.370 0.000

In terms of stability, x leads; the second structure lies 5 meV/atom higher.

--- w ---
Below is an optimized crystal structure of Mg6AlSn, with properties calculated at the PBE level.

Cell: 5.308 6.211 10.820 Å, 90.00 90.00 90.00°
Fractional positions:
Mg: 0.000 0.251 0.584
Mg: 0.500 0.000 0.167
Mg: 0.500 0.748 0.415
Sn: 0.500 0.500 0.167
Mg: 0.000 0.751 0.084
Mg: 0.000 0.500 0.833
Mg: 0.500 0.500 0.667
Mg: 0.000 0.000 0.333
Al: 0.000 0.500 0.335
Mg: 0.500 0.752 0.915
Mg: 0.000 0.249 0.084
Sn: 0.500 0.000 0.667
Mg: 0.500 0.248 0.915
Mg: 0.500 0.252 0.415
Al: 0.000 0.000 0.835
Mg: 0.000 0.749 0.584

--- x ---
Below is an optimized crystal structure of Mg6AlSn, with properties calculated at the PBE level.

Cell: 5.204 6.358 10.755 Å, 90.00 90.00 90.00°
Fractional positions:
Mg: 0.500 0.750 0.083
Mg: 0.000 0.500 0.169
Mg: 0.500 0.250 0.083
Al: 0.500 0.500 0.333
Mg: 0.000 0.245 0.916
Sn: 0.500 0.000 0.333
Mg: 0.500 0.250 0.583
Mg: 0.000 0.000 0.166
Mg: 0.000 0.000 0.669
Mg: 0.000 0.500 0.666
Mg: 0.000 0.255 0.416
Mg: 0.000 0.755 0.916
Al: 0.500 0.000 0.833
Mg: 0.500 0.750 0.583
Mg: 0.000 0.745 0.416
Sn: 0.500 0.500 0.833

In terms of stability, x leads; the second structure lies 8 meV/atom higher.

--- w ---
Below is an optimized crystal structure of SrMg14Al, with properties calculated at the PBE level.

Cell: 6.500 6.500 10.622 Å, 90.00 90.00 120.00°
Fractional positions:
Sr: 0.167 0.333 0.625
Mg: 0.334 0.166 0.889
Mg: 0.661 0.839 0.625
Mg: 0.833 0.667 0.381
Mg: 0.833 0.667 0.869
Al: 0.167 0.333 0.125
Mg: 0.334 0.669 0.889
Mg: 0.178 0.839 0.625
Mg: 0.831 0.166 0.361
Mg: 0.831 0.166 0.889
Mg: 0.334 0.669 0.361
Mg: 0.669 0.831 0.125
Mg: 0.334 0.166 0.361
Mg: 0.669 0.339 0.125
Mg: 0.661 0.322 0.625
Mg: 0.161 0.831 0.125

--- x ---
Below is an optimized crystal structure of SrMg14Al, with properties calculated at the PBE level.

Cell: 6.507 6.493 10.525 Å, 90.00 90.00 119.93°
Fractional positions:
Mg: 0.659 0.820 0.125
Mg: 0.169 0.834 0.625
Mg: 0.825 0.662 0.389
Mg: 0.667 0.838 0.625
Sr: 0.164 0.832 0.125
Mg: 0.837 0.169 0.885
Mg: 0.825 0.662 0.861
Mg: 0.335 0.176 0.384
Mg: 0.335 0.659 0.866
Mg: 0.335 0.659 0.384
Mg: 0.162 0.331 0.625
Mg: 0.667 0.329 0.625
Mg: 0.335 0.176 0.866
Al: 0.190 0.345 0.125
Mg: 0.837 0.169 0.365
Mg: 0.659 0.339 0.125

In terms of stability, x leads; the second structure lies 13 meV/atom higher.

--- w ---
Below is an optimized crystal structure of TbMg16Al12, with properties calculated at the PBE level.

Cell: 9.255 9.255 9.255 Å, 110.36 110.36 110.36°
Fractional positions:
Tb: 0.372 0.372 0.372
Mg: 0.315 0.315 0.717
Mg: 0.315 0.717 0.315
Mg: 0.611 0.611 0.280
Al: 0.811 0.811 0.175
Al: 0.175 0.811 0.811
Mg: 0.996 0.996 0.655
Al: 0.002 0.364 0.185
Mg: 0.280 0.611 0.611
Al: 0.630 0.630 0.810
Mg: 0.611 0.280 0.611
Mg: 0.997 0.997 0.997
Mg: 0.689 0.002 0.394
Mg: 0.655 0.996 0.996
Mg: 0.002 0.689 0.394
Mg: 0.717 0.315 0.315
Al: 0.002 0.185 0.364
Mg: 0.394 0.689 0.002
Al: 0.364 0.002 0.185
Al: 0.630 0.810 0.630
Mg: 0.002 0.394 0.689
Al: 0.811 0.175 0.811
Mg: 0.689 0.394 0.002
Al: 0.810 0.630 0.630
Mg: 0.996 0.655 0.996
Al: 0.364 0.185 0.002
Mg: 0.394 0.002 0.689
Al: 0.185 0.002 0.364
Al: 0.185 0.364 0.002

--- x ---
Below is an optimized crystal structure of TbMg16Al12, with properties calculated at the PBE level.

Cell: 9.140 9.140 9.140 Å, 109.47 109.47 109.47°
Fractional positions:
Mg: 0.397 0.681 0.000
Al: 0.631 0.631 0.818
Mg: 0.603 0.603 0.284
Mg: 0.000 0.397 0.681
Mg: 0.642 0.000 0.000
Mg: 0.358 0.358 0.358
Mg: 0.681 0.000 0.397
Al: 0.182 0.814 0.814
Al: 0.631 0.818 0.631
Al: 0.814 0.814 0.182
Al: 0.000 0.369 0.186
Mg: 0.681 0.397 0.000
Mg: 0.397 0.000 0.681
Al: 0.818 0.631 0.631
Al: 0.186 0.369 0.000
Mg: 0.000 0.681 0.397
Mg: 0.603 0.284 0.603
Al: 0.186 0.000 0.369
Mg: 0.000 0.642 0.000
Mg: 0.000 0.000 0.642
Mg: 0.319 0.319 0.716
Tb: 0.000 0.000 0.000
Al: 0.000 0.186 0.369
Mg: 0.284 0.603 0.603
Al: 0.369 0.186 0.000
Mg: 0.716 0.319 0.319
Al: 0.369 0.000 0.186
Mg: 0.319 0.716 0.319
Al: 0.814 0.182 0.814

In terms of stability, x leads; the second structure lies 6 meV/atom higher.